! LiCe2Pb GGA-PBE optimized geometry; values from VASP
&SYSTEM
  ibrav = 0, nat = 16, ntyp = 3
/
ATOMIC_SPECIES
Li 6.94 Li.upf
Ce 140.12 Ce.upf
Pb 207.20 Pb.upf
ATOMIC_POSITIONS crystal
Li 0.000 0.000 0.000
Li 0.000 0.500 0.500
Li 0.500 0.000 0.500
Li 0.500 0.500 0.000
Ce 0.250 0.250 0.250
Ce 0.250 0.250 0.750
Ce 0.250 0.750 0.250
Ce 0.250 0.750 0.750
Ce 0.750 0.250 0.250
Ce 0.750 0.250 0.750
Ce 0.750 0.750 0.250
Ce 0.750 0.750 0.750
Pb 0.000 0.000 0.500
Pb 0.000 0.500 0.000
Pb 0.500 0.000 0.000
Pb 0.500 0.500 0.500
CELL_PARAMETERS angstrom
7.687 0.000 0.000
0.000 7.687 0.000
0.000 0.000 7.687
! DFT formation energy = -0.1078 eV per atom
! space-group type = Fm-3m, No. 225
! VASP energy = -17.92 eV per formula unit
! V = 454 Å³/cell